1.
First-principles (PBE) data for a relaxed structure of CaAl10Cr2, as listed in Materials Project.

The theoretical density is 3.21 g/cm3. For the formation energy, the calculation gives -0.179 eV per atom. The space-group type is No. 129. Its raw total energy is -61.1 eV per formula unit. As for the spin magnetization: 5.66 μB/cell.

Unit cell a=12.8781 b=12.8781 c=5.1592 alpha=90.00 beta=90.00 gamma=90.00
Last column: nearest neighbours and their distance in Å.
Sites, in units of the cell vectors:
Ca: 0.2500 0.2500 0.0188  16 Al 3.18-3.33
Ca: 0.2500 0.7500 0.5000  12 Al 3.17-3.31, 4 Cr 3.36
Ca: 0.7500 0.2500 0.5000  12 Al 3.17-3.31, 4 Cr 3.36
Ca: 0.7500 0.7500 0.9812  16 Al 3.18-3.33
Al: 0.0111 0.2500 0.2489  2 Cr 2.57-2.62, 8 Al 2.64-2.82
Al: 0.0754 0.0754 0.9814  6 Al 2.58-2.84, 2 Cr 2.76
Al: 0.0754 0.4246 0.9814  6 Al 2.58-2.84, 2 Cr 2.76
Al: 0.0758 0.5758 0.5000  2 Cr 2.73, 7 Al 2.76-2.92
Al: 0.0758 0.9242 0.5000  2 Cr 2.73, 7 Al 2.76-2.92
Al: 0.1364 0.6364 0.0000  2 Cr 2.53, 4 Al 2.72-2.81
Al: 0.1364 0.8636 0.0000  2 Cr 2.53, 4 Al 2.72-2.81
Al: 0.1408 0.1408 0.5369  5 Al 2.58-2.81, 2 Cr 2.64
Al: 0.1408 0.3592 0.5369  5 Al 2.58-2.81, 2 Cr 2.64
Al: 0.2500 0.0111 0.2489  2 Cr 2.57-2.62, 8 Al 2.64-2.82
Al: 0.2500 0.4889 0.2489  2 Cr 2.57-2.62, 8 Al 2.64-2.82
Al: 0.3592 0.1408 0.5369  5 Al 2.58-2.81, 2 Cr 2.64
Al: 0.3592 0.3592 0.5369  5 Al 2.58-2.81, 2 Cr 2.64
Al: 0.3636 0.6364 0.0000  2 Cr 2.53, 4 Al 2.72-2.81
Al: 0.3636 0.8636 0.0000  2 Cr 2.53, 4 Al 2.72-2.81
Al: 0.4242 0.5758 0.5000  2 Cr 2.73, 7 Al 2.76-2.92
Al: 0.4242 0.9242 0.5000  2 Cr 2.73, 7 Al 2.76-2.92
Al: 0.4246 0.0754 0.9814  6 Al 2.58-2.84, 2 Cr 2.76
Al: 0.4246 0.4246 0.9814  6 Al 2.58-2.84, 2 Cr 2.76
Al: 0.4889 0.2500 0.2489  2 Cr 2.57-2.62, 8 Al 2.64-2.82
Al: 0.5111 0.7500 0.7511  2 Cr 2.57-2.62, 8 Al 2.64-2.82
Al: 0.5754 0.5754 0.0186  6 Al 2.58-2.84, 2 Cr 2.76
Al: 0.5754 0.9246 0.0186  6 Al 2.58-2.84, 2 Cr 2.76
Al: 0.5758 0.0758 0.5000  2 Cr 2.73, 7 Al 2.76-2.92
Al: 0.5758 0.4242 0.5000  2 Cr 2.73, 7 Al 2.76-2.92
Al: 0.6364 0.1364 0.0000  2 Cr 2.53, 4 Al 2.72-2.81
Al: 0.6364 0.3636 0.0000  2 Cr 2.53, 4 Al 2.72-2.81
Al: 0.6408 0.6408 0.4631  5 Al 2.58-2.81, 2 Cr 2.64
Al: 0.6408 0.8592 0.4631  5 Al 2.58-2.81, 2 Cr 2.64
Al: 0.7500 0.5111 0.7511  2 Cr 2.57-2.62, 8 Al 2.64-2.82
Al: 0.7500 0.9889 0.7511  2 Cr 2.57-2.62, 8 Al 2.64-2.82
Al: 0.8592 0.6408 0.4631  5 Al 2.58-2.81, 2 Cr 2.64
Al: 0.8592 0.8592 0.4631  5 Al 2.58-2.81, 2 Cr 2.64
Al: 0.8636 0.1364 0.0000  2 Cr 2.53, 4 Al 2.72-2.81
Al: 0.8636 0.3636 0.0000  2 Cr 2.53, 4 Al 2.72-2.81
Al: 0.9242 0.0758 0.5000  2 Cr 2.73, 7 Al 2.76-2.92
Al: 0.9242 0.4242 0.5000  2 Cr 2.73, 7 Al 2.76-2.92
Al: 0.9246 0.5754 0.0186  6 Al 2.58-2.84, 2 Cr 2.76
Al: 0.9246 0.9246 0.0186  6 Al 2.58-2.84, 2 Cr 2.76
Al: 0.9889 0.7500 0.7511  2 Cr 2.57-2.62, 8 Al 2.64-2.82
Cr: 0.0096 0.7500 0.2462  10 Al 2.53-2.76
Cr: 0.2500 0.5096 0.7538  10 Al 2.53-2.76
Cr: 0.2500 0.9904 0.7538  10 Al 2.53-2.76
Cr: 0.4904 0.7500 0.2462  10 Al 2.53-2.76
Cr: 0.5096 0.2500 0.7538  10 Al 2.53-2.76
Cr: 0.7500 0.0096 0.2462  10 Al 2.53-2.76
Cr: 0.7500 0.4904 0.2462  10 Al 2.53-2.76
Cr: 0.9904 0.2500 0.7538  10 Al 2.53-2.76

2.
First-principles (PBE) data for a relaxed structure of K2RbRuF6, as listed in Materials Project.

The theoretical density is 3.16 g/cm3. For the formation energy, the calculation gives -2.545 eV per atom. The space-group type is No. 225. Its raw total energy is -46.6 eV per formula unit. As for the spin magnetization: 1.00 μB/cell.

Unit cell a=6.5505 b=6.5505 c=6.5505 alpha=60.00 beta=60.00 gamma=60.00
Last column: nearest neighbours and their distance in Å.
Sites, in units of the cell vectors:
K: 0.2500 0.2500 0.2500  12 F 3.29
K: 0.7500 0.7500 0.7500  12 F 3.29
Rb: 0.0000 0.0000 0.0000  6 F 2.61
Ru: 0.5000 0.5000 0.5000  6 F 2.02
F: 0.2818 0.2818 0.7182  1 Ru 2.02
F: 0.2818 0.7182 0.2818  1 Ru 2.02
F: 0.2818 0.7182 0.7182  1 Ru 2.02
F: 0.7182 0.2818 0.2818  1 Ru 2.02
F: 0.7182 0.2818 0.7182  1 Ru 2.02
F: 0.7182 0.7182 0.2818  1 Ru 2.02

3.
First-principles (PBE) data for a relaxed structure of BaTb2DyO6, as listed in Materials Project.

The theoretical density is 7.27 g/cm3. For the formation energy, the calculation gives -3.409 eV per atom. The energy above the most stable polymorph in this dataset comes out at 0.057 eV/atom. The space-group type is No. 131. Its raw total energy is -75.5 eV per formula unit. As for the spin magnetization: 1.91 μB/cell.

Unit cell a=8.5864 b=8.5864 c=8.8385 alpha=90.00 beta=90.00 gamma=90.00
Last column: nearest neighbours and their distance in Å.
Sites, in units of the cell vectors:
Ba: 0.0000 0.0000 0.0000  8 O 2.93-3.26
Ba: 0.0000 0.0000 0.5000  8 O 2.93-3.26
Ba: 0.0000 0.5000 0.0000  8 O 2.75-2.90
Ba: 0.5000 0.0000 0.5000  8 O 2.75-2.90
Tb: 0.2562 0.2562 0.2500  6 O 2.23-2.35
Tb: 0.2562 0.2562 0.7500  6 O 2.23-2.35
Tb: 0.2562 0.7438 0.2500  6 O 2.23-2.35
Tb: 0.2562 0.7438 0.7500  6 O 2.23-2.35
Tb: 0.7438 0.2562 0.2500  6 O 2.23-2.35
Tb: 0.7438 0.2562 0.7500  6 O 2.23-2.35
Tb: 0.7438 0.7438 0.2500  6 O 2.23-2.35
Tb: 0.7438 0.7438 0.7500  6 O 2.23-2.35
Dy: 0.0000 0.5000 0.5000  4 O 2.25
Dy: 0.5000 0.0000 0.0000  4 O 2.25
Dy: 0.5000 0.5000 0.0000  4 O 2.28
Dy: 0.5000 0.5000 0.5000  4 O 2.28
O: 0.0000 0.2643 0.2100  2 Tb 2.23
O: 0.0000 0.2643 0.7900  2 Tb 2.23
O: 0.0000 0.7357 0.2100  2 Tb 2.23
O: 0.0000 0.7357 0.7900  2 Tb 2.23
O: 0.1955 0.3255 0.5000  1 Dy 2.25, 2 Tb 2.35
O: 0.1955 0.6745 0.5000  1 Dy 2.25, 2 Tb 2.35
O: 0.2643 0.0000 0.2900  2 Tb 2.23
O: 0.2643 0.0000 0.7100  2 Tb 2.23
O: 0.2938 0.5000 0.1618  2 Tb 2.26, 1 Dy 2.28
O: 0.2938 0.5000 0.8382  2 Tb 2.26, 1 Dy 2.28
O: 0.3255 0.1955 0.0000  1 Dy 2.25, 2 Tb 2.35
O: 0.3255 0.8045 0.0000  1 Dy 2.25, 2 Tb 2.35
O: 0.5000 0.2938 0.3382  2 Tb 2.26, 1 Dy 2.28
O: 0.5000 0.2938 0.6618  2 Tb 2.26, 1 Dy 2.28
O: 0.5000 0.7062 0.3382  2 Tb 2.26, 1 Dy 2.28
O: 0.5000 0.7062 0.6618  2 Tb 2.26, 1 Dy 2.28
O: 0.6745 0.1955 0.0000  1 Dy 2.25, 2 Tb 2.35
O: 0.6745 0.8045 0.0000  1 Dy 2.25, 2 Tb 2.35
O: 0.7062 0.5000 0.1618  2 Tb 2.26, 1 Dy 2.28
O: 0.7062 0.5000 0.8382  2 Tb 2.26, 1 Dy 2.28
O: 0.7357 0.0000 0.2900  2 Tb 2.23
O: 0.7357 0.0000 0.7100  2 Tb 2.23
O: 0.8045 0.3255 0.5000  1 Dy 2.25, 2 Tb 2.35
O: 0.8045 0.6745 0.5000  1 Dy 2.25, 2 Tb 2.35

4.
First-principles (PBE) data for a relaxed structure of Ba5Cu4ClF17, as listed in Materials Project.

The theoretical density is 4.84 g/cm3. For the formation energy, the calculation gives -3.064 eV per atom. The space-group type is No. 189. Its raw total energy is -135.3 eV per formula unit. As for the spin magnetization: 0.31 μB/cell.

Unit cell a=10.8879 b=10.8879 c=13.0294 alpha=90.00 beta=90.00 gamma=120.00
Last column: nearest neighbours and their distance in Å.
Sites, in units of the cell vectors:
Ba: 0.0000 0.2686 0.1915  9 F 2.73-2.94
Ba: 0.0000 0.2686 0.8085  9 F 2.73-2.94
Ba: 0.0000 0.7559 0.5000  8 F 2.66-2.93
Ba: 0.2441 0.2441 0.5000  8 F 2.66-2.93
Ba: 0.2686 0.0000 0.1915  9 F 2.73-2.94
Ba: 0.2686 0.0000 0.8085  9 F 2.73-2.94
Ba: 0.3333 0.6667 0.0000  9 F 2.80-2.82
Ba: 0.3333 0.6667 0.3396  9 F 2.71-2.89
Ba: 0.3333 0.6667 0.6604  9 F 2.71-2.89
Ba: 0.6667 0.3333 0.0000  9 F 2.80-2.82
Ba: 0.6667 0.3333 0.3396  9 F 2.71-2.89
Ba: 0.6667 0.3333 0.6604  9 F 2.71-2.89
Ba: 0.7314 0.7314 0.1915  9 F 2.73-2.94
Ba: 0.7314 0.7314 0.8085  9 F 2.73-2.94
Ba: 0.7559 0.0000 0.5000  8 F 2.66-2.93
Cu: 0.0000 0.4211 0.5000  5 F 1.93-2.09
Cu: 0.0000 0.5960 0.2346  4 F 1.94-1.95
Cu: 0.0000 0.5960 0.7654  4 F 1.94-1.95
Cu: 0.0000 0.7621 0.0000  4 F 1.88-1.97
Cu: 0.2379 0.2379 0.0000  4 F 1.88-1.97
Cu: 0.4040 0.4040 0.2346  4 F 1.94-1.95
Cu: 0.4040 0.4040 0.7654  4 F 1.94-1.95
Cu: 0.4211 0.0000 0.5000  5 F 1.93-2.09
Cu: 0.5789 0.5789 0.5000  5 F 1.93-2.09
Cu: 0.5960 0.0000 0.2346  4 F 1.94-1.95
Cu: 0.5960 0.0000 0.7654  4 F 1.94-1.95
Cu: 0.7621 0.0000 0.0000  4 F 1.88-1.97
Cl: 0.0000 0.0000 0.0000  3 Cu 2.59
Cl: 0.0000 0.0000 0.3342  12 F 3.42-3.69, 6 Ba 3.42-3.47
Cl: 0.0000 0.0000 0.6658  12 F 3.42-3.69, 6 Ba 3.42-3.47
F: 0.0000 0.2438 0.5000  1 Cu 1.93
F: 0.0000 0.4296 0.3524  1 Cu 1.93
F: 0.0000 0.4296 0.6476  1 Cu 1.93
F: 0.0000 0.7722 0.1443  1 Cu 1.88
F: 0.0000 0.7722 0.8557  1 Cu 1.88
F: 0.1439 0.5701 0.1651  1 Cu 1.95
F: 0.1439 0.5701 0.8349  1 Cu 1.95
F: 0.1445 0.7582 0.3099  1 Cu 1.94
F: 0.1445 0.7582 0.6901  1 Cu 1.94
F: 0.1615 0.6332 0.5000  1 Cu 2.09
F: 0.1630 0.3689 0.0000  1 Cu 1.97
F: 0.2059 0.8370 0.0000  1 Cu 1.97
F: 0.2278 0.2278 0.1443  1 Cu 1.88
F: 0.2278 0.2278 0.8557  1 Cu 1.88
F: 0.2418 0.3863 0.3099  1 Cu 1.94
F: 0.2418 0.3863 0.6901  1 Cu 1.94
F: 0.2438 0.0000 0.5000  1 Cu 1.93
F: 0.3668 0.5283 0.5000  1 Cu 2.09
F: 0.3689 0.1630 0.0000  1 Cu 1.97
F: 0.3863 0.2418 0.3099  1 Cu 1.94
F: 0.3863 0.2418 0.6901  1 Cu 1.94
F: 0.4261 0.8561 0.1651  1 Cu 1.95
F: 0.4261 0.8561 0.8349  1 Cu 1.95
F: 0.4296 0.0000 0.3524  1 Cu 1.93
F: 0.4296 0.0000 0.6476  1 Cu 1.93
F: 0.4299 0.5739 0.1651  1 Cu 1.95
F: 0.4299 0.5739 0.8349  1 Cu 1.95
F: 0.4717 0.8385 0.5000  1 Cu 2.09
F: 0.5283 0.3668 0.5000  1 Cu 2.09
F: 0.5701 0.1439 0.1651  1 Cu 1.95
F: 0.5701 0.1439 0.8349  1 Cu 1.95
F: 0.5704 0.5704 0.3524  1 Cu 1.93
F: 0.5704 0.5704 0.6476  1 Cu 1.93
F: 0.5739 0.4299 0.1651  1 Cu 1.95
F: 0.5739 0.4299 0.8349  1 Cu 1.95
F: 0.6137 0.8555 0.3099  1 Cu 1.94
F: 0.6137 0.8555 0.6901  1 Cu 1.94
F: 0.6311 0.7941 0.0000  1 Cu 1.97
F: 0.6332 0.1615 0.5000  1 Cu 2.09
F: 0.7562 0.7562 0.5000  1 Cu 1.93
F: 0.7582 0.1445 0.3099  1 Cu 1.94
F: 0.7582 0.1445 0.6901  1 Cu 1.94
F: 0.7722 0.0000 0.1443  1 Cu 1.88
F: 0.7722 0.0000 0.8557  1 Cu 1.88
F: 0.7941 0.6311 0.0000  1 Cu 1.97
F: 0.8370 0.2059 0.0000  1 Cu 1.97
F: 0.8385 0.4717 0.5000  1 Cu 2.09
F: 0.8555 0.6137 0.3099  1 Cu 1.94
F: 0.8555 0.6137 0.6901  1 Cu 1.94
F: 0.8561 0.4261 0.1651  1 Cu 1.95
F: 0.8561 0.4261 0.8349  1 Cu 1.95